YMg6Mo, optimized geometry, DFT PBE; size of the total moment = 1.22 μB/f.u.; formation energy = 1.749 eV/f.u.; offset from the most stable computed form = 2.0 kJ per mole of atoms; raw total energy = -50.3 eV/cell
1.0
-3.111 1.138 3.839
3.963 -2.375 3.915
5.141 10.376 1.091
Y Mg Mo
2 12 2
Direct
0.500 0.000 0.176
0.500 0.500 0.676
0.500 0.251 0.425
0.500 0.749 0.425
0.000 0.738 0.081
0.000 0.262 0.081
0.000 0.000 0.337
0.000 0.500 0.309
0.500 0.751 0.925
0.500 0.249 0.925
0.000 0.238 0.581
0.000 0.762 0.581
0.000 0.500 0.837
0.000 0.000 0.809
0.500 0.500 0.165
0.500 0.000 0.665